# Tl2Br3, relaxed, DFT GGA-PBE
data_Tl2Br3
_space_group_name_H-M_alt 'P 1'
_space_group_IT_number 1
_cell_length_a 15.8366
_cell_length_b 15.8366
_cell_length_c 27.7899
_cell_angle_alpha 106.42
_cell_angle_beta 106.42
_cell_angle_gamma 59.57
loop_
_space_group_symop_operation_xyz
'x,y,z'
loop_
_atom_site_label
_atom_site_type_symbol
_atom_site_fract_x
_atom_site_fract_y
_atom_site_fract_z
Tl1 Tl 0.0000 0.0000 0.0000
Tl2 Tl 0.0000 0.0000 0.5000
Tl3 Tl 0.0000 0.5000 0.0000
Tl4 Tl 0.0000 0.5000 0.5000
Tl5 Tl 0.0483 0.5475 0.6976
Tl6 Tl 0.0659 0.5658 0.1901
Tl7 Tl 0.0768 0.0869 0.7254
Tl8 Tl 0.0869 0.0768 0.2254
Tl9 Tl 0.1117 0.6385 0.9091
Tl10 Tl 0.1127 0.7005 0.4119
Tl11 Tl 0.1512 0.1551 0.9077
Tl12 Tl 0.1551 0.1512 0.4077
Tl13 Tl 0.1895 0.7600 0.5921
Tl14 Tl 0.1928 0.2140 0.5851
Tl15 Tl 0.2067 0.6515 0.0920
Tl16 Tl 0.2140 0.1928 0.0851
Tl17 Tl 0.2240 0.7760 0.7500
Tl18 Tl 0.2400 0.8105 0.9079
Tl19 Tl 0.2590 0.2606 0.2485
Tl20 Tl 0.2606 0.2590 0.7485
Tl21 Tl 0.2645 0.7355 0.2500
Tl22 Tl 0.2892 0.3602 0.4098
Tl23 Tl 0.2995 0.8873 0.0881
Tl24 Tl 0.3398 0.4189 0.5836
Tl25 Tl 0.3485 0.7933 0.4080
Tl26 Tl 0.3602 0.2892 0.9098
Tl27 Tl 0.3615 0.8883 0.5909
Tl28 Tl 0.3861 0.4642 0.7800
Tl29 Tl 0.4189 0.3398 0.0836
Tl30 Tl 0.4342 0.9341 0.3099
Tl31 Tl 0.4525 0.9517 0.8024
Tl32 Tl 0.4642 0.3861 0.2800
Tl33 Tl 0.5000 0.0000 0.0000
Tl34 Tl 0.5000 0.0000 0.5000
Tl35 Tl 0.5000 0.5000 0.0000
Tl36 Tl 0.5000 0.5000 0.5000
Tl37 Tl 0.5358 0.6139 0.7200
Tl38 Tl 0.5475 0.0483 0.1976
Tl39 Tl 0.5658 0.0659 0.6901
Tl40 Tl 0.5811 0.6602 0.9164
Tl41 Tl 0.6139 0.5358 0.2200
Tl42 Tl 0.6385 0.1117 0.4091
Tl43 Tl 0.6398 0.7108 0.0902
Tl44 Tl 0.6515 0.2067 0.5920
Tl45 Tl 0.6602 0.5811 0.4164
Tl46 Tl 0.7005 0.1127 0.9119
Tl47 Tl 0.7108 0.6398 0.5902
Tl48 Tl 0.7355 0.2645 0.7500
Tl49 Tl 0.7394 0.7410 0.2515
Tl50 Tl 0.7410 0.7394 0.7515
Tl51 Tl 0.7600 0.1895 0.0921
Tl52 Tl 0.7760 0.2240 0.2500
Tl53 Tl 0.7860 0.8072 0.9149
Tl54 Tl 0.7933 0.3485 0.9080
Tl55 Tl 0.8072 0.7860 0.4149
Tl56 Tl 0.8105 0.2400 0.4079
Tl57 Tl 0.8449 0.8488 0.5923
Tl58 Tl 0.8488 0.8449 0.0923
Tl59 Tl 0.8873 0.2995 0.5881
Tl60 Tl 0.8883 0.3615 0.0909
Tl61 Tl 0.9131 0.9232 0.7746
Tl62 Tl 0.9232 0.9131 0.2746
Tl63 Tl 0.9341 0.4342 0.8099
Tl64 Tl 0.9517 0.4525 0.3024
Br1 Br 0.0065 0.3174 0.9983
Br2 Br 0.0224 0.1590 0.4859
Br3 Br 0.0318 0.5561 0.4208
Br4 Br 0.0378 0.0805 0.1002
Br5 Br 0.0478 0.8558 0.6813
Br6 Br 0.0624 0.7783 0.1817
Br7 Br 0.0664 0.3073 0.7005
Br8 Br 0.0770 0.3339 0.1837
Br9 Br 0.0805 0.0378 0.6002
Br10 Br 0.0819 0.6034 0.5772
Br11 Br 0.1112 0.4114 0.9215
Br12 Br 0.1439 0.6943 0.7908
Br13 Br 0.1442 0.9522 0.8187
Br14 Br 0.1476 0.8069 0.0142
Br15 Br 0.1590 0.0224 0.9859
Br16 Br 0.1666 0.4518 0.0778
Br17 Br 0.1680 0.2355 0.3154
Br18 Br 0.1820 0.7134 0.3149
Br19 Br 0.1916 0.3307 0.4992
Br20 Br 0.1931 0.8524 0.4858
Br21 Br 0.1965 0.4412 0.8132
Br22 Br 0.2098 0.4534 0.2976
Br23 Br 0.2217 0.9376 0.3183
Br24 Br 0.2355 0.1680 0.8154
Br25 Br 0.2758 0.3536 0.6792
Br26 Br 0.2866 0.8180 0.1851
Br27 Br 0.2917 0.5681 0.5004
Br28 Br 0.3057 0.8561 0.7092
Br29 Br 0.3073 0.0664 0.2005
Br30 Br 0.3069 0.5983 0.6821
Br31 Br 0.3080 0.5126 0.9849
Br32 Br 0.3174 0.0065 0.4983
Br33 Br 0.3265 0.5431 0.1950
Br34 Br 0.3307 0.1916 0.9992
Br35 Br 0.3339 0.0770 0.6837
Br36 Br 0.3536 0.2758 0.1792
Br37 Br 0.3966 0.9181 0.9228
Br38 Br 0.4017 0.6931 0.8179
Br39 Br 0.4114 0.1112 0.4215
Br40 Br 0.4319 0.7083 0.9996
Br41 Br 0.4412 0.1965 0.3132
Br42 Br 0.4439 0.9682 0.0792
Br43 Br 0.4518 0.1666 0.5778
Br44 Br 0.4534 0.2098 0.7976
Br45 Br 0.4538 0.5052 0.3996
Br46 Br 0.4569 0.6735 0.3050
Br47 Br 0.4874 0.6920 0.5151
Br48 Br 0.4948 0.5462 0.1004
Br49 Br 0.5052 0.4538 0.8996
Br50 Br 0.5126 0.3080 0.4849
Br51 Br 0.5431 0.3265 0.6950
Br52 Br 0.5462 0.4948 0.6004
Br53 Br 0.5466 0.7902 0.2024
Br54 Br 0.5482 0.8334 0.4222
Br55 Br 0.5561 0.0318 0.9208
Br56 Br 0.5588 0.8035 0.6868
Br57 Br 0.5681 0.2917 0.0004
Br58 Br 0.5886 0.8888 0.5785
Br59 Br 0.5983 0.3069 0.1821
Br60 Br 0.6034 0.0819 0.0772
Br61 Br 0.6464 0.7242 0.8208
Br62 Br 0.6661 0.9230 0.3163
Br63 Br 0.6693 0.8084 0.0008
Br64 Br 0.6735 0.4569 0.8050
Br65 Br 0.6826 0.9935 0.5017
Br66 Br 0.6920 0.4874 0.0151
Br67 Br 0.6931 0.4017 0.3179
Br68 Br 0.6927 0.9336 0.7995
Br69 Br 0.6943 0.1439 0.2908
Br70 Br 0.7083 0.4319 0.4996
Br71 Br 0.7134 0.1820 0.8149
Br72 Br 0.7242 0.6464 0.3208
Br73 Br 0.7645 0.8320 0.1846
Br74 Br 0.7783 0.0624 0.6817
Br75 Br 0.7902 0.5466 0.7024
Br76 Br 0.8035 0.5588 0.1868
Br77 Br 0.8069 0.1476 0.5142
Br78 Br 0.8084 0.6693 0.5008
Br79 Br 0.8180 0.2866 0.6851
Br80 Br 0.8320 0.7645 0.6846
Br81 Br 0.8334 0.5482 0.9222
Br82 Br 0.8410 0.9776 0.0141
Br83 Br 0.8524 0.1931 0.9858
Br84 Br 0.8558 0.0478 0.1813
Br85 Br 0.8561 0.3057 0.2092
Br86 Br 0.8888 0.5886 0.0785
Br87 Br 0.9181 0.3966 0.4228
Br88 Br 0.9195 0.9622 0.3998
Br89 Br 0.9230 0.6661 0.8163
Br90 Br 0.9336 0.6927 0.2995
Br91 Br 0.9376 0.2217 0.8183
Br92 Br 0.9522 0.1442 0.3187
Br93 Br 0.9622 0.9195 0.8998
Br94 Br 0.9682 0.4439 0.5792
Br95 Br 0.9776 0.8410 0.5141
Br96 Br 0.9935 0.6826 0.0017
# symmetry = No. 15
# MP2020-corrected energy = -2.982 eV/atom
# energy = -2.66 eV/atom
# crystal system = monoclinic
# density = 6.06 Mg/m³
# size of the total moment = 0.000 μB/atom
# energy of formation from the pure elements = -1054.8 meV per atom
# calculated volume = 35.5 Å³/atom

# Tl3Br, relaxed, DFT GGA-PBE
data_Tl3Br
_space_group_name_H-M_alt 'P 1'
_space_group_IT_number 1
_cell_length_a 4.7727
_cell_length_b 4.7727
_cell_length_c 11.6440
_cell_angle_alpha 90.00
_cell_angle_beta 90.00
_cell_angle_gamma 90.00
loop_
_space_group_symop_operation_xyz
'x,y,z'
loop_
_atom_site_label
_atom_site_type_symbol
_atom_site_fract_x
_atom_site_fract_y
_atom_site_fract_z
Tl1 Tl 0.0000 0.0000 0.0000
Tl2 Tl 0.0000 0.5000 0.2500
Tl3 Tl 0.0000 0.5000 0.7500
Tl4 Tl 0.5000 0.0000 0.2500
Tl5 Tl 0.5000 0.0000 0.7500
Tl6 Tl 0.5000 0.5000 0.5000
Br1 Br 0.0000 0.0000 0.5000
Br2 Br 0.5000 0.5000 0.0000
# symmetry = No. 139
# MP2020-corrected energy = -2.612 eV/atom
# energy = -2.48 eV/atom
# crystal system = tetragonal
# density = 8.68 Mg/m³
# size of the total moment = 0.000 μB/atom
# energy of formation from the pure elements = -431.3 meV per atom
# calculated volume = 33.2 Å³/atom

# TlBr2, relaxed, DFT GGA-PBE
data_TlBr2
_space_group_name_H-M_alt 'P 1'
_space_group_IT_number 1
_cell_length_a 8.1568
_cell_length_b 10.7911
_cell_length_c 10.9062
_cell_angle_alpha 90.00
_cell_angle_beta 90.00
_cell_angle_gamma 90.00
loop_
_space_group_symop_operation_xyz
'x,y,z'
loop_
_atom_site_label
_atom_site_type_symbol
_atom_site_fract_x
_atom_site_fract_y
_atom_site_fract_z
Tl1 Tl 0.1785 0.2500 0.2500
Tl2 Tl 0.2500 0.0000 0.6764
Tl3 Tl 0.2500 0.5000 0.8236
Tl4 Tl 0.3215 0.7500 0.2500
Tl5 Tl 0.6785 0.2500 0.7500
Tl6 Tl 0.7500 0.0000 0.3236
Tl7 Tl 0.7500 0.5000 0.1764
Tl8 Tl 0.8215 0.7500 0.7500
Br1 Br 0.0059 0.5435 0.3182
Br2 Br 0.0059 0.9565 0.1818
Br3 Br 0.1440 0.6885 0.9542
Br4 Br 0.1440 0.8115 0.5458
Br5 Br 0.3560 0.1885 0.5458
Br6 Br 0.3560 0.3115 0.9542
Br7 Br 0.4941 0.0435 0.1818
Br8 Br 0.4941 0.4565 0.3182
Br9 Br 0.5059 0.5435 0.6818
Br10 Br 0.5059 0.9565 0.8182
Br11 Br 0.6440 0.6885 0.0458
Br12 Br 0.6440 0.8115 0.4542
Br13 Br 0.8560 0.1885 0.4542
Br14 Br 0.8560 0.3115 0.0458
Br15 Br 0.9941 0.0435 0.8182
Br16 Br 0.9941 0.4565 0.6818
# symmetry = No. 52
# MP2020-corrected energy = -2.891 eV/atom
# energy = -2.53 eV/atom
# crystal system = orthorhombic
# density = 5.04 Mg/m³
# energy of formation from the pure elements = -1012.1 meV per atom
# calculated volume = 40.0 Å³/atom

# TmBr2, relaxed, DFT GGA-PBE
data_TmBr2
_space_group_name_H-M_alt 'P 1'
_space_group_IT_number 1
_cell_length_a 6.5840
_cell_length_b 12.7843
_cell_length_c 7.7036
_cell_angle_alpha 90.00
_cell_angle_beta 90.00
_cell_angle_gamma 90.00
loop_
_space_group_symop_operation_xyz
'x,y,z'
loop_
_atom_site_label
_atom_site_type_symbol
_atom_site_fract_x
_atom_site_fract_y
_atom_site_fract_z
Tm1 Tm 0.1695 0.0967 0.0476
Tm2 Tm 0.1695 0.4033 0.5476
Tm3 Tm 0.3305 0.5967 0.0476
Tm4 Tm 0.3305 0.9033 0.5476
Tm5 Tm 0.6695 0.0967 0.4524
Tm6 Tm 0.6695 0.4033 0.9524
Tm7 Tm 0.8305 0.5967 0.4524
Tm8 Tm 0.8305 0.9033 0.9524
Br1 Br 0.0249 0.0425 0.7032
Br2 Br 0.0249 0.4575 0.2032
Br3 Br 0.2039 0.7061 0.3765
Br4 Br 0.2039 0.7939 0.8765
Br5 Br 0.2961 0.2061 0.3765
Br6 Br 0.2961 0.2939 0.8765
Br7 Br 0.4751 0.5425 0.7032
Br8 Br 0.4751 0.9575 0.2032
Br9 Br 0.5249 0.0425 0.7968
Br10 Br 0.5249 0.4575 0.2968
Br11 Br 0.7039 0.7061 0.1235
Br12 Br 0.7039 0.7939 0.6235
Br13 Br 0.7961 0.2061 0.1235
Br14 Br 0.7961 0.2939 0.6235
Br15 Br 0.9751 0.5425 0.7968
Br16 Br 0.9751 0.9575 0.2968
# symmetry = No. 61
# MP2020-corrected energy = -4.311 eV/atom
# energy = -3.95 eV/atom
# crystal system = orthorhombic
# density = 6.73 Mg/m³
# size of the total moment = 0.000 μB/atom
# energy of formation from the pure elements = -1727.4 meV per atom
# calculated volume = 27.0 Å³/atom

# UBr5, relaxed, DFT GGA-PBE
data_UBr5
_space_group_name_H-M_alt 'P 1'
_space_group_IT_number 1
_cell_length_a 7.4049
_cell_length_b 8.0294
_cell_length_c 10.8470
_cell_angle_alpha 109.60
_cell_angle_beta 90.81
_cell_angle_gamma 116.23
loop_
_space_group_symop_operation_xyz
'x,y,z'
loop_
_atom_site_label
_atom_site_type_symbol
_atom_site_fract_x
_atom_site_fract_y
_atom_site_fract_z
U1 U 0.1009 0.2067 0.2108
U2 U 0.8991 0.7933 0.7892
Br1 Br 0.0636 0.8145 0.5777
Br2 Br 0.1053 0.6209 0.8434
Br3 Br 0.2333 0.1766 0.9590
Br4 Br 0.2968 0.0160 0.2484
Br5 Br 0.4286 0.5582 0.3317
Br6 Br 0.5714 0.4418 0.6683
Br7 Br 0.7032 0.9840 0.7516
Br8 Br 0.7667 0.8234 0.0410
Br9 Br 0.8947 0.3791 0.1566
Br10 Br 0.9364 0.1855 0.4223
# symmetry = No. 2
# MP2020-corrected energy = -4.941 eV/atom
# energy = -4.50 eV/atom
# crystal system = triclinic
# density = 3.96 Mg/m³
# energy of formation from the pure elements = -1694.8 meV per atom
# calculated volume = 44.6 Å³/atom

# UBr3, relaxed, DFT GGA-PBE
data_UBr3
_space_group_name_H-M_alt 'P 1'
_space_group_IT_number 1
_cell_length_a 8.0435
_cell_length_b 8.0435
_cell_length_c 4.4098
_cell_angle_alpha 90.00
_cell_angle_beta 90.00
_cell_angle_gamma 120.00
loop_
_space_group_symop_operation_xyz
'x,y,z'
loop_
_atom_site_label
_atom_site_type_symbol
_atom_site_fract_x
_atom_site_fract_y
_atom_site_fract_z
U1 U 0.3333 0.6667 0.2500
U2 U 0.6667 0.3333 0.7500
Br1 Br 0.0857 0.3877 0.7500
Br2 Br 0.3020 0.9143 0.7500
Br3 Br 0.3877 0.3020 0.2500
Br4 Br 0.6123 0.6980 0.7500
Br5 Br 0.6980 0.0857 0.2500
Br6 Br 0.9143 0.6123 0.2500
# symmetry = No. 176
# MP2020-corrected energy = -5.743 eV/atom
# energy = -5.34 eV/atom
# crystal system = hexagonal
# density = 6.42 Mg/m³
# energy of formation from the pure elements = -1692.7 meV per atom
# calculated volume = 30.9 Å³/atom